Entry 1:
DFT (PBE-GGA) results for a relaxed DyCoSi2 crystal.

a = 4.0273 Å, b = 16.2077 Å, c = 3.9862 Å
α = 90.00°, β = 90.00°, γ = 90.00°
Closest atoms and distances in Å follow each position.
Atoms (fractional coordinates):
Dy 0.0000 0.1073 0.2500  10 Si 3.02-3.15, 4 Co 3.07
Dy 0.0000 0.8927 0.7500  10 Si 3.02-3.15, 4 Co 3.07
Dy 0.5000 0.3927 0.7500  10 Si 3.02-3.15, 4 Co 3.07
Dy 0.5000 0.6073 0.2500  10 Si 3.02-3.15, 4 Co 3.07
Co 0.0000 0.3206 0.2500  5 Si 2.22-2.31
Co 0.0000 0.6794 0.7500  5 Si 2.22-2.31
Co 0.5000 0.1794 0.7500  5 Si 2.22-2.31
Co 0.5000 0.8206 0.2500  5 Si 2.22-2.31
Si 0.0000 0.2499 0.7500  4 Co 2.30-2.31
Si 0.0000 0.4575 0.2500  1 Co 2.22, 2 Si 2.42
Si 0.0000 0.5425 0.7500  1 Co 2.22, 2 Si 2.42
Si 0.0000 0.7501 0.2500  4 Co 2.30-2.31
Si 0.5000 0.0425 0.7500  1 Co 2.22, 2 Si 2.42
Si 0.5000 0.2501 0.2500  4 Co 2.30-2.31
Si 0.5000 0.7499 0.7500  4 Co 2.30-2.31
Si 0.5000 0.9575 0.2500  1 Co 2.22, 2 Si 2.42

Calculated values
Total energy after the MP2020 corrections: -102.3 eV for the cell shown
E: -6.429 eV per atom
Calculated formation energy: -751.8 meV per atom

Entry 2:
DFT (PBE-GGA) results for a relaxed DyCoSn2 crystal.

a = 4.3462 Å, b = 18.5558 Å, c = 4.4268 Å
α = 90.00°, β = 90.00°, γ = 90.00°
Closest atoms and distances in Å follow each position.
Atoms (fractional coordinates):
Dy 0.0000 0.1157 0.2500  8 Sn 3.29-3.35, 4 Co 3.31
Dy 0.0000 0.8843 0.7500  8 Sn 3.29-3.35, 4 Co 3.31
Dy 0.5000 0.3843 0.7500  8 Sn 3.29-3.35, 4 Co 3.31
Dy 0.5000 0.6157 0.2500  8 Sn 3.29-3.35, 4 Co 3.31
Co 0.0000 0.3217 0.2500  5 Sn 2.42-2.57
Co 0.0000 0.6783 0.7500  5 Sn 2.42-2.57
Co 0.5000 0.1783 0.7500  5 Sn 2.42-2.57
Co 0.5000 0.8217 0.2500  5 Sn 2.42-2.57
Sn 0.0000 0.2512 0.7500  4 Co 2.56-2.57
Sn 0.0000 0.4521 0.2500  1 Co 2.42
Sn 0.0000 0.5479 0.7500  1 Co 2.42
Sn 0.0000 0.7488 0.2500  4 Co 2.56-2.57
Sn 0.5000 0.0479 0.7500  1 Co 2.42
Sn 0.5000 0.2488 0.2500  4 Co 2.56-2.57
Sn 0.5000 0.7512 0.7500  4 Co 2.56-2.57
Sn 0.5000 0.9521 0.2500  1 Co 2.42

Calculated values
Magnetic moment: 0.0 μB/cell
E: -5.309 eV per atom
Calculated formation energy: -375.2 meV per atom

Entry 3:
DFT (PBE-GGA) results for a relaxed Dy5Co6Sn18 crystal.

a = 16.7456 Å, b = 16.7456 Å, c = 16.7456 Å
α = 131.54°, β = 131.54°, γ = 70.95°
Closest atoms and distances in Å follow each position.
Atoms (fractional coordinates):
Dy 0.0630 0.0797 0.2561  3 Co 3.00-3.08, 10 Sn 3.11-3.32
Dy 0.0797 0.3235 0.0167  3 Co 3.00-3.08, 10 Sn 3.11-3.32
Dy 0.1250 0.3750 0.7500  12 Sn 3.32-3.38, 6 Co 3.45-3.49
Dy 0.1765 0.4203 0.4833  3 Co 3.00-3.08, 10 Sn 3.11-3.32
Dy 0.1932 0.9370 0.5167  3 Co 3.00-3.08, 10 Sn 3.11-3.32
Dy 0.3068 0.8235 0.7439  3 Co 3.00-3.08, 10 Sn 3.11-3.32
Dy 0.3235 0.8068 0.2439  3 Co 3.00-3.08, 10 Sn 3.11-3.32
Dy 0.3750 0.1250 0.2500  12 Sn 3.32-3.38, 6 Co 3.45-3.49
Dy 0.4203 0.4370 0.2439  3 Co 3.00-3.08, 10 Sn 3.11-3.32
Dy 0.4370 0.6932 0.0167  3 Co 3.00-3.08, 10 Sn 3.11-3.32
Dy 0.5630 0.3068 0.9833  3 Co 3.00-3.08, 10 Sn 3.11-3.32
Dy 0.5797 0.5630 0.7561  3 Co 3.00-3.08, 10 Sn 3.11-3.32
Dy 0.6250 0.8750 0.7500  12 Sn 3.32-3.38, 6 Co 3.45-3.49
Dy 0.6765 0.1932 0.7561  3 Co 3.00-3.08, 10 Sn 3.11-3.32
Dy 0.6932 0.1765 0.2561  3 Co 3.00-3.08, 10 Sn 3.11-3.32
Dy 0.8068 0.0630 0.4833  3 Co 3.00-3.08, 10 Sn 3.11-3.32
Dy 0.8235 0.5797 0.5167  3 Co 3.00-3.08, 10 Sn 3.11-3.32
Dy 0.8750 0.6250 0.2500  12 Sn 3.32-3.38, 6 Co 3.45-3.49
Dy 0.9203 0.6765 0.9833  3 Co 3.00-3.08, 10 Sn 3.11-3.32
Dy 0.9370 0.9203 0.7439  3 Co 3.00-3.08, 10 Sn 3.11-3.32
Co 0.0016 0.7516 0.2500  6 Sn 2.61-2.78
Co 0.1209 0.1243 0.9953  6 Sn 2.58-2.77
Co 0.1243 0.6290 0.0034  6 Sn 2.58-2.77
Co 0.1257 0.1209 0.4966  6 Sn 2.58-2.77
Co 0.1290 0.6243 0.5034  6 Sn 2.58-2.77
Co 0.2484 0.9984 0.2500  6 Sn 2.61-2.78
Co 0.2516 0.5016 0.7500  6 Sn 2.61-2.78
Co 0.3710 0.8743 0.4953  6 Sn 2.58-2.77
Co 0.3743 0.8710 0.9953  6 Sn 2.58-2.77
Co 0.3757 0.3791 0.5047  6 Sn 2.58-2.77
Co 0.3791 0.3743 0.0034  6 Sn 2.58-2.77
Co 0.4984 0.7484 0.7500  6 Sn 2.61-2.78
Co 0.5016 0.2516 0.2500  6 Sn 2.61-2.78
Co 0.6209 0.6257 0.9966  6 Sn 2.58-2.77
Co 0.6243 0.6209 0.4953  6 Sn 2.58-2.77
Co 0.6257 0.1290 0.0047  6 Sn 2.58-2.77
Co 0.6290 0.1257 0.5047  6 Sn 2.58-2.77
Co 0.7484 0.4984 0.2500  6 Sn 2.61-2.78
Co 0.7516 0.0016 0.7500  6 Sn 2.61-2.78
Co 0.8710 0.3757 0.4966  6 Sn 2.58-2.77
Co 0.8743 0.8791 0.5034  6 Sn 2.58-2.77
Co 0.8757 0.3710 0.9966  6 Sn 2.58-2.77
Co 0.8791 0.8757 0.0047  6 Sn 2.58-2.77
Co 0.9984 0.2484 0.7500  6 Sn 2.61-2.78
Sn 0.0090 0.0784 0.7483  3 Co 2.75-2.78
Sn 0.0370 0.4603 0.5759  2 Co 2.58-2.63
Sn 0.0389 0.1156 0.5759  2 Co 2.58-2.63
Sn 0.0397 0.4630 0.9241  2 Co 2.58-2.63
Sn 0.0401 0.7500 0.7901  2 Dy 3.11, 2 Sn 3.16
Sn 0.0476 0.7976 0.5951  2 Co 2.63
Sn 0.0488 0.4512 0.2500  2 Co 2.62
Sn 0.0784 0.8301 0.0694  3 Co 2.75-2.78
Sn 0.1156 0.0397 0.0767  2 Co 2.58-2.63
Sn 0.1321 0.7020 0.4129  2 Co 2.60-2.61
Sn 0.1699 0.7393 0.2483  3 Co 2.75-2.78
Sn 0.2012 0.9512 0.9024  2 Co 2.62
Sn 0.2024 0.2976 0.2500  2 Co 2.63
Sn 0.2020 0.6321 0.9129  2 Co 2.60-2.61
Sn 0.2109 0.2808 0.9129  2 Co 2.60-2.61
Sn 0.2192 0.2891 0.5871  2 Co 2.60-2.61
Sn 0.2393 0.6699 0.7483  3 Co 2.75-2.78
Sn 0.2500 0.0401 0.7901  2 Dy 3.11, 2 Sn 3.16
Sn 0.2500 0.5401 0.2901  2 Dy 3.11, 2 Sn 3.16
Sn 0.2607 0.0090 0.4306  3 Co 2.75-2.78
Sn 0.2808 0.8679 0.0699  2 Co 2.60-2.61
Sn 0.2891 0.2020 0.0699  2 Co 2.60-2.61
Sn 0.2980 0.2109 0.4301  2 Co 2.60-2.61
Sn 0.2976 0.5476 0.0951  2 Co 2.63
Sn 0.2988 0.2012 0.7500  2 Co 2.62
Sn 0.3301 0.5784 0.5694  3 Co 2.75-2.78
Sn 0.3679 0.7808 0.5699  2 Co 2.60-2.61
Sn 0.3844 0.4611 0.9241  2 Co 2.58-2.63
Sn 0.4216 0.4910 0.7517  3 Co 2.75-2.78
Sn 0.4512 0.7012 0.4024  2 Co 2.62
Sn 0.4524 0.0476 0.7500  2 Co 2.63
Sn 0.4599 0.2500 0.7099  2 Dy 3.11, 2 Sn 3.16
Sn 0.4603 0.3844 0.4233  2 Co 2.58-2.63
Sn 0.4611 0.0370 0.0767  2 Co 2.58-2.63
Sn 0.4630 0.0389 0.4233  2 Co 2.58-2.63
Sn 0.4910 0.2393 0.0694  3 Co 2.75-2.78
Sn 0.5090 0.7607 0.9306  3 Co 2.75-2.78
Sn 0.5370 0.9611 0.5767  2 Co 2.58-2.63
Sn 0.5389 0.9630 0.9233  2 Co 2.58-2.63
Sn 0.5397 0.6156 0.5767  2 Co 2.58-2.63
Sn 0.5401 0.7500 0.2901  2 Dy 3.11, 2 Sn 3.16
Sn 0.5476 0.9524 0.2500  2 Co 2.63
Sn 0.5488 0.2988 0.5976  2 Co 2.62
Sn 0.5784 0.5090 0.2483  3 Co 2.75-2.78
Sn 0.6156 0.5389 0.0759  2 Co 2.58-2.63
Sn 0.6321 0.2192 0.4301  2 Co 2.60-2.61
Sn 0.6699 0.4216 0.4306  3 Co 2.75-2.78
Sn 0.7012 0.7988 0.2500  2 Co 2.62
Sn 0.7024 0.4524 0.9049  2 Co 2.63
Sn 0.7020 0.7891 0.5699  2 Co 2.60-2.61
Sn 0.7109 0.7980 0.9301  2 Co 2.60-2.61
Sn 0.7192 0.1321 0.9301  2 Co 2.60-2.61
Sn 0.7393 0.9910 0.5694  3 Co 2.75-2.78
Sn 0.7500 0.4599 0.7099  2 Dy 3.11, 2 Sn 3.16
Sn 0.7500 0.9599 0.2099  2 Dy 3.11, 2 Sn 3.16
Sn 0.7607 0.3301 0.2517  3 Co 2.75-2.78
Sn 0.7808 0.7109 0.4129  2 Co 2.60-2.61
Sn 0.7891 0.7192 0.0871  2 Co 2.60-2.61
Sn 0.7980 0.3679 0.0871  2 Co 2.60-2.61
Sn 0.7976 0.7024 0.7500  2 Co 2.63
Sn 0.7988 0.0488 0.0976  2 Co 2.62
Sn 0.8301 0.2607 0.7517  3 Co 2.75-2.78
Sn 0.8679 0.2980 0.5871  2 Co 2.60-2.61
Sn 0.8844 0.9603 0.9233  2 Co 2.58-2.63
Sn 0.9216 0.1699 0.9306  3 Co 2.75-2.78
Sn 0.9512 0.5488 0.7500  2 Co 2.62
Sn 0.9524 0.2024 0.4049  2 Co 2.63
Sn 0.9599 0.2500 0.2099  2 Dy 3.11, 2 Sn 3.16
Sn 0.9603 0.5370 0.0759  2 Co 2.58-2.63
Sn 0.9611 0.8844 0.4241  2 Co 2.58-2.63
Sn 0.9630 0.5397 0.4241  2 Co 2.58-2.63
Sn 0.9910 0.9216 0.2517  3 Co 2.75-2.78

Calculated values
Magnetic moment: 0.7 μB/cell
E: -5.106 eV per atom
Calculated formation energy: -352.1 meV per atom

Entry 4:
DFT (PBE-GGA) results for a relaxed DyV2Co10 crystal.

a = 6.3350 Å, b = 6.3350 Å, c = 6.3350 Å
α = 136.80°, β = 97.93°, γ = 97.65°
Closest atoms and distances in Å follow each position.
Atoms (fractional coordinates):
Dy 0.0000 0.0000 0.0000  18 Co 2.95-3.17, 2 V 3.01
V 0.3612 0.3612 0.0000  1 V 2.32, 4 Co 2.56
V 0.6388 0.6388 0.0000  1 V 2.32, 4 Co 2.56
Co 0.0000 0.0000 0.5000  8 Co 2.33-2.56, 2 V 2.56
Co 0.0000 0.5000 0.0000  8 Co 2.33-2.56, 2 V 2.56
Co 0.2175 0.5000 0.7175  8 Co 2.40-2.61, 2 V 2.62
Co 0.2209 0.7209 0.5000  8 Co 2.40-2.61, 2 V 2.61
Co 0.3592 0.0000 0.3592  9 Co 2.34-2.61
Co 0.5000 0.0000 0.0000  8 Co 2.33-2.56, 2 V 2.56
Co 0.5000 0.5000 0.5000  8 Co 2.33-2.56, 2 V 2.56
Co 0.6408 0.0000 0.6408  9 Co 2.34-2.61
Co 0.7791 0.2791 0.5000  8 Co 2.40-2.61, 2 V 2.61
Co 0.7825 0.5000 0.2825  8 Co 2.40-2.61, 2 V 2.62

Calculated values
Magnetic moment: 11.8 μB/cell
E: -7.316 eV per atom
Calculated formation energy: -96.7 meV per atom

Entry 5:
DFT (PBE-GGA) results for a relaxed Er3Co crystal.

a = 6.8390 Å, b = 9.2859 Å, c = 6.1046 Å
α = 90.00°, β = 90.00°, γ = 90.00°
Closest atoms and distances in Å follow each position.
Atoms (fractional coordinates):
Er 0.0402 0.2500 0.1343  2 Co 2.65-2.76
Er 0.1758 0.0657 0.6767  2 Co 2.71-2.79
Er 0.1758 0.4343 0.6767  2 Co 2.71-2.79
Er 0.3242 0.5657 0.1767  2 Co 2.71-2.79
Er 0.3242 0.9343 0.1767  2 Co 2.71-2.79
Er 0.4598 0.7500 0.6343  2 Co 2.65-2.76
Er 0.5402 0.2500 0.3657  2 Co 2.65-2.76
Er 0.6758 0.0657 0.8233  2 Co 2.71-2.79
Er 0.6758 0.4343 0.8233  2 Co 2.71-2.79
Er 0.8242 0.5657 0.3233  2 Co 2.71-2.79
Er 0.8242 0.9343 0.3233  2 Co 2.71-2.79
Er 0.9598 0.7500 0.8657  2 Co 2.65-2.76
Co 0.1113 0.7500 0.4465  6 Er 2.65-2.79
Co 0.3887 0.2500 0.9465  6 Er 2.65-2.79
Co 0.6113 0.7500 0.0535  6 Er 2.65-2.79
Co 0.8887 0.2500 0.5535  6 Er 2.65-2.79

Calculated values
Magnetic moment: 0.0 μB/cell
E: -5.384 eV per atom
Calculated formation energy: -180.6 meV per atom

Entry 6:
DFT (PBE-GGA) results for a relaxed ErCo2 crystal.

a = 5.0368 Å, b = 5.0368 Å, c = 5.0368 Å
α = 60.00°, β = 60.00°, γ = 60.00°
Closest atoms and distances in Å follow each position.
Atoms (fractional coordinates):
Er 0.1250 0.1250 0.1250  12 Co 2.95, 4 Er 3.08
Er 0.8750 0.8750 0.8750  12 Co 2.95, 4 Er 3.08
Co 0.0000 0.5000 0.5000  6 Co 2.52
Co 0.5000 0.0000 0.5000  6 Co 2.52
Co 0.5000 0.5000 0.0000  6 Co 2.52
Co 0.5000 0.5000 0.5000  6 Co 2.52

Calculated values
E: -6.505 eV per atom
Calculated formation energy: -243.7 meV per atom

Entry 7:
DFT (PBE-GGA) results for a relaxed ErCo5 crystal.

a = 4.8943 Å, b = 4.8943 Å, c = 3.9493 Å
α = 90.00°, β = 90.00°, γ = 120.00°
Closest atoms and distances in Å follow each position.
Atoms (fractional coordinates):
Er 0.0000 0.0000 0.0000  18 Co 2.83-3.14
Co 0.0000 0.5000 0.5000  8 Co 2.43-2.45
Co 0.3333 0.6667 0.0000  6 Co 2.43
Co 0.5000 0.0000 0.5000  8 Co 2.43-2.45
Co 0.5000 0.5000 0.5000  8 Co 2.43-2.45
Co 0.6667 0.3333 0.0000  6 Co 2.43

Calculated values
Magnetic moment: 7.2 μB/cell
E: -6.809 eV per atom
Calculated formation energy: -124.1 meV per atom

Entry 8:
DFT (PBE-GGA) results for a relaxed Er4Co3 crystal.

a = 11.2994 Å, b = 11.2994 Å, c = 3.9945 Å
α = 90.00°, β = 90.00°, γ = 120.00°
Closest atoms and distances in Å follow each position.
Atoms (fractional coordinates):
Er 0.0221 0.2468 0.2505  4 Co 2.77-3.07
Er 0.1355 0.6206 0.2504  7 Co 2.84-3.01
Er 0.2247 0.9779 0.2505  4 Co 2.77-3.07
Er 0.2468 0.2247 0.7495  4 Co 2.77-3.07
Er 0.3794 0.5148 0.2504  7 Co 2.84-3.01
Er 0.4852 0.8645 0.2504  7 Co 2.84-3.01
Er 0.5148 0.1355 0.7496  7 Co 2.84-3.01
Er 0.6206 0.4852 0.7496  7 Co 2.84-3.01
Er 0.7532 0.7753 0.2505  4 Co 2.77-3.07
Er 0.7753 0.0221 0.7495  4 Co 2.77-3.07
Er 0.8645 0.3794 0.7496  7 Co 2.84-3.01
Er 0.9779 0.7532 0.7495  4 Co 2.77-3.07
Co 0.0000 0.0000 0.5000  6 Er 2.85
Co 0.1560 0.4391 0.7494  1 Co 2.34
Co 0.2831 0.8440 0.7494  1 Co 2.34
Co 0.3333 0.6667 0.7499  3 Co 2.34
Co 0.4391 0.2831 0.2506  1 Co 2.34
Co 0.5609 0.7169 0.7494  1 Co 2.34
Co 0.6667 0.3333 0.2501  3 Co 2.34
Co 0.7169 0.1560 0.2506  1 Co 2.34
Co 0.8440 0.5609 0.2506  1 Co 2.34

Calculated values
E: -5.859 eV per atom
Calculated formation energy: -202.6 meV per atom